[1]
# U6Al43Mo4

An optimized crystal structure of U6Al43Mo4 (PBE, Materials Project).

The structure in POSCAR format:
```
U6Al43Mo4
1.0
11.019 0.000 0.000
-5.509 9.543 0.000
0.000 0.000 17.536
U Al Mo
12 86 8
direct
0.000 0.476 0.088 U
0.000 0.476 0.412 U
0.000 0.524 0.588 U
0.000 0.524 0.912 U
0.476 0.000 0.088 U
0.476 0.000 0.412 U
0.476 0.476 0.588 U
0.476 0.476 0.912 U
0.524 0.000 0.588 U
0.524 0.000 0.912 U
0.524 0.524 0.088 U
0.524 0.524 0.412 U
0.000 0.146 0.750 Al
0.000 0.161 0.114 Al
0.000 0.161 0.386 Al
0.000 0.255 0.530 Al
0.000 0.255 0.970 Al
0.000 0.745 0.030 Al
0.000 0.745 0.470 Al
0.000 0.839 0.614 Al
0.000 0.839 0.886 Al
0.000 0.854 0.250 Al
0.144 0.551 0.250 Al
0.144 0.593 0.750 Al
0.146 0.000 0.750 Al
0.146 0.146 0.250 Al
0.159 0.395 0.663 Al
0.159 0.395 0.837 Al
0.159 0.765 0.163 Al
0.159 0.765 0.337 Al
0.161 0.000 0.114 Al
0.161 0.000 0.386 Al
0.161 0.161 0.614 Al
0.161 0.161 0.886 Al
0.235 0.395 0.163 Al
0.235 0.395 0.337 Al
0.235 0.841 0.663 Al
0.235 0.841 0.837 Al
0.247 0.494 0.000 Al
0.247 0.494 0.500 Al
0.247 0.753 0.000 Al
0.247 0.753 0.500 Al
0.255 0.000 0.530 Al
0.255 0.000 0.970 Al
0.255 0.255 0.030 Al
0.255 0.255 0.470 Al
0.333 0.667 0.127 Al
0.333 0.667 0.373 Al
0.333 0.667 0.627 Al
0.333 0.667 0.873 Al
0.395 0.159 0.663 Al
0.395 0.159 0.837 Al
0.395 0.235 0.163 Al
0.395 0.235 0.337 Al
0.407 0.551 0.750 Al
0.407 0.856 0.250 Al
0.449 0.593 0.250 Al
0.449 0.856 0.750 Al
0.494 0.247 0.000 Al
0.494 0.247 0.500 Al
0.506 0.753 0.000 Al
0.506 0.753 0.500 Al
0.551 0.144 0.250 Al
0.551 0.407 0.750 Al
0.593 0.144 0.750 Al
0.593 0.449 0.250 Al
0.605 0.765 0.663 Al
0.605 0.765 0.837 Al
0.605 0.841 0.163 Al
0.605 0.841 0.337 Al
0.667 0.333 0.127 Al
0.667 0.333 0.373 Al
0.667 0.333 0.627 Al
0.667 0.333 0.873 Al
0.745 0.000 0.030 Al
0.745 0.000 0.470 Al
0.745 0.745 0.530 Al
0.745 0.745 0.970 Al
0.753 0.247 0.000 Al
0.753 0.247 0.500 Al
0.753 0.506 0.000 Al
0.753 0.506 0.500 Al
0.765 0.159 0.163 Al
0.765 0.159 0.337 Al
0.765 0.605 0.663 Al
0.765 0.605 0.837 Al
0.839 0.000 0.614 Al
0.839 0.000 0.886 Al
0.839 0.839 0.114 Al
0.839 0.839 0.386 Al
0.841 0.235 0.663 Al
0.841 0.235 0.837 Al
0.841 0.605 0.163 Al
0.841 0.605 0.337 Al
0.854 0.000 0.250 Al
0.854 0.854 0.750 Al
0.856 0.407 0.250 Al
0.856 0.449 0.750 Al
0.000 0.000 0.000 Mo
0.000 0.000 0.500 Mo
0.000 0.270 0.250 Mo
0.000 0.730 0.750 Mo
0.270 0.000 0.250 Mo
0.270 0.270 0.750 Mo
0.730 0.000 0.750 Mo
0.730 0.730 0.250 Mo
```

Summary:
crystal system: hexagonal
DFT formation energy: -0.199 eV per atom
total DFT energy (no corrections): -5.3342 eV per atom

=====

[2]
# Ca3Cu6As8O32

An optimized crystal structure of Ca3Cu6As8O32 (PBE, Materials Project).

The structure in POSCAR format:
```
Ca3Cu6As8O32
1.0
5.033 0.000 0.000
0.155 9.486 0.000
0.085 1.608 14.858
Ca Cu As O
3 6 8 32
direct
0.000 0.000 0.000 Ca
0.033 0.952 0.729 Ca
0.537 0.458 0.239 Ca
0.010 0.616 0.854 Cu
0.042 0.955 0.238 Cu
0.064 0.287 0.616 Cu
0.524 0.781 0.119 Cu
0.542 0.455 0.735 Cu
0.561 0.125 0.356 Cu
0.035 0.611 0.640 As
0.039 0.335 0.398 As
0.040 0.579 0.074 As
0.048 0.299 0.827 As
0.538 0.800 0.332 As
0.538 0.835 0.895 As
0.544 0.074 0.575 As
0.550 0.110 0.144 As
0.099 0.533 0.966 O
0.129 0.206 0.736 O
0.140 0.194 0.918 O
0.151 0.752 0.085 O
0.184 0.446 0.142 O
0.204 0.844 0.876 O
0.223 0.052 0.138 O
0.235 0.459 0.810 O
0.355 0.964 0.307 O
0.365 0.552 0.638 O
0.371 0.317 0.370 O
0.411 0.939 0.644 O
0.421 0.244 0.588 O
0.448 0.692 0.421 O
0.460 0.709 0.238 O
0.487 0.031 0.466 O
0.595 0.875 0.006 O
0.619 0.205 0.233 O
0.654 0.666 0.882 O
0.666 0.187 0.046 O
0.709 0.590 0.102 O
0.709 0.970 0.839 O
0.720 0.358 0.833 O
0.744 0.946 0.162 O
0.854 0.448 0.665 O
0.865 0.857 0.334 O
0.872 0.090 0.601 O
0.903 0.470 0.330 O
0.922 0.166 0.383 O
0.947 0.718 0.551 O
0.962 0.700 0.735 O
0.984 0.379 0.506 O
```

Summary:
crystal system: triclinic
DFT formation energy: -1.592 eV per atom
total DFT energy (no corrections): -5.7605 eV per atom